CuAgAs2O8 after structural relaxation, computed with PBE-GGA.

extended XYZ file:
```
48
Lattice="7.558 0.000 0.000 0.000 9.148 0.000 0.000 2.505 9.240" Properties=species:S:1:pos:R:3 pbc="T T T"
O 3.067 9.412 3.898
O 1.970 9.280 1.387
O 7.414 6.846 5.739
O 1.293 7.940 7.730
O 2.327 5.589 5.665
O 6.697 9.761 5.981
O 3.418 3.900 3.373
O 2.918 3.144 7.879
O 4.492 2.240 5.342
O 3.310 9.462 8.273
O 3.635 6.059 8.120
O 1.452 4.336 1.045
O 5.231 6.064 3.575
O 3.923 5.593 1.120
O 0.144 4.807 3.500
O 6.846 0.988 0.722
O 5.749 1.120 3.232
O 6.265 3.712 1.509
O 4.640 8.508 1.361
O 5.588 2.372 7.852
O 1.809 10.533 6.007
O 0.361 5.152 7.993
O 2.486 6.688 3.111
O 0.713 10.665 8.518
O 4.248 2.190 0.967
O 7.089 3.443 5.587
O 4.140 7.753 5.866
O 6.106 7.316 8.194
O 0.861 1.892 3.259
O 7.197 6.501 1.247
O 0.469 8.210 3.653
O 5.072 4.965 6.129
Cu 1.363 6.819 4.580
Cu 6.195 4.833 4.659
Cu 5.142 3.581 0.039
Cu 2.416 8.072 9.200
As 7.493 4.915 1.758
As 5.988 2.189 6.172
As 3.714 5.485 2.862
As 3.844 6.168 6.378
As 5.350 0.937 1.552
As 2.208 10.716 7.687
As 1.571 9.463 3.068
As 0.065 6.737 7.481
Ag 1.892 1.886 0.091
Ag 1.888 3.139 4.711
Ag 5.667 9.766 9.148
Ag 5.671 8.514 4.528
```

Output
The value obtained for the raw total energy is -5.234 eV per atom. As for the formation energy: -12.48 eV per formula unit. For the MP2020-corrected energy, the calculation gives -5.69 eV per atom.


I after structural relaxation, computed with PBE-GGA.

extended XYZ file:
```
1
Lattice="2.053 -0.860 2.816 -1.653 3.123 0.633 -2.453 -2.568 -0.521" Properties=species:S:1:pos:R:3 pbc="T T T"
I 0.000 0.000 0.000
```

Output
The value obtained for the raw total energy is -1.078 eV per atom. For the distance to the lowest polymorph of the same formula, the calculation gives 0.446 eV per atom. As for the formation energy: 0.45 eV per formula unit.